Record 1
# InGaS3 | the Materials Project database | PBE-GGA | optimized geometry
data_InGaS3
_cell_length_a 3.9352
_cell_length_b 3.9352
_cell_length_c 18.8888
_cell_angle_alpha 90.00
_cell_angle_beta 90.00
_cell_angle_gamma 120.00
_symmetry_space_group_name_H-M 'P 3 m 1'
_symmetry_Int_Tables_number 156
_symmetry_space_group_name_Hall 'P 3 -2"'
loop_
_atom_site_label
_atom_site_type_symbol
_atom_site_fract_x
_atom_site_fract_y
_atom_site_fract_z
In1 In 0.0000 0.0000 0.0000
In2 In 0.3333 0.6667 0.6404
Ga1 Ga 0.3333 0.6667 0.2065
Ga2 Ga 0.6667 0.3333 0.3849
S1 S 0.3333 0.6667 0.0893
S2 S 0.3333 0.6667 0.4166
S3 S 0.3333 0.6667 0.7661
S4 S 0.6667 0.3333 0.2537
S5 S 0.6667 0.3333 0.5784
S6 S 0.6667 0.3333 0.9381
# E_form   -624 meV per atom



Record 2
# K4Be3O5 | the Materials Project database | PBE-GGA | optimized geometry
data_K4Be3O5
_cell_length_a 10.478
_cell_length_b 7.272
_cell_length_c 10.908
_cell_angle_alpha 90.00
_cell_angle_beta 118.15
_cell_angle_gamma 90.00
_symmetry_space_group_name_H-M 'C 1 2/c 1'
_symmetry_Int_Tables_number 15
_symmetry_space_group_name_Hall '-C 2yc'
loop_
_atom_site_label
_atom_site_type_symbol
_atom_site_fract_x
_atom_site_fract_y
_atom_site_fract_z
K1 K 0.167 0.110 0.095
K2 K 0.171 0.418 0.576
Be1 Be 0.000 0.189 0.750
Be2 Be 0.000 0.231 0.250
Be3 Be 0.000 0.480 0.750
O1 O 0.000 0.021 0.250
O2 O 0.050 0.323 0.877
O3 O 0.127 0.361 0.269
# E_form   -2309 meV per atom



Record 3
# NdZrO3 | the Materials Project database | PBE-GGA | optimized geometry
data_NdZrO3
_cell_length_a 7.567
_cell_length_b 7.567
_cell_length_c 10.844
_cell_angle_alpha 90.00
_cell_angle_beta 90.00
_cell_angle_gamma 90.00
_symmetry_space_group_name_H-M 'I -4 m 2'
_symmetry_Int_Tables_number 119
_symmetry_space_group_name_Hall 'I -4 -2'
loop_
_atom_site_label
_atom_site_type_symbol
_atom_site_fract_x
_atom_site_fract_y
_atom_site_fract_z
Nd1 Nd 0.000 0.241 0.366
Zr1 Zr 0.000 0.255 0.870
O1 O 0.000 0.000 0.216
O2 O 0.000 0.000 0.500
O3 O 0.000 0.500 0.250
O4 O 0.207 0.207 0.000
O5 O 0.221 0.279 0.750
# E_form   -3563 meV per atom



Record 4
# La3UCl3O6 | the Materials Project database | PBE-GGA | optimized geometry
data_La3UCl3O6
_cell_length_a 9.6050
_cell_length_b 9.6050
_cell_length_c 5.6523
_cell_angle_alpha 90.00
_cell_angle_beta 90.00
_cell_angle_gamma 120.00
_symmetry_space_group_name_H-M 'P 63/m'
_symmetry_Int_Tables_number 176
_symmetry_space_group_name_Hall '-P 6c'
loop_
_atom_site_label
_atom_site_type_symbol
_atom_site_fract_x
_atom_site_fract_y
_atom_site_fract_z
La1 La 0.0893 0.6839 0.2500
U1 U 0.3333 0.6667 0.7500
Cl1 Cl 0.0582 0.8087 0.7500
O1 O 0.1526 0.5192 0.5091
# E_form   -3466 meV per atom



Record 5
# KTbHS2O8 | the Materials Project database | PBE-GGA | optimized geometry
data_KTbHS2O8
_cell_length_a 10.128
_cell_length_b 8.824
_cell_length_c 10.220
_cell_angle_alpha 90.00
_cell_angle_beta 119.61
_cell_angle_gamma 90.00
_symmetry_space_group_name_H-M 'P 1 21/c 1'
_symmetry_Int_Tables_number 14
_symmetry_space_group_name_Hall '-P 2ybc'
loop_
_atom_site_label
_atom_site_type_symbol
_atom_site_fract_x
_atom_site_fract_y
_atom_site_fract_z
K1 K 0.214 0.183 0.191
Tb1 Tb 0.254 0.625 0.037
H1 H 0.334 0.574 0.552
S1 S 0.059 0.633 0.186
S2 S 0.498 0.699 0.896
O1 O 0.062 0.746 0.078
O2 O 0.093 0.705 0.330
O3 O 0.097 0.065 0.379
O4 O 0.172 0.515 0.204
O5 O 0.360 0.620 0.883
O6 O 0.403 0.086 0.622
O7 O 0.422 0.219 0.962
O8 O 0.446 0.695 0.265
# E_form   -2159 meV per atom



Record 6
# MgAl | the Materials Project database | PBE-GGA | optimized geometry
data_MgAl
_cell_length_a 4.786
_cell_length_b 3.132
_cell_length_c 5.157
_cell_angle_alpha 90.00
_cell_angle_beta 90.00
_cell_angle_gamma 90.00
_symmetry_space_group_name_H-M 'P m m a'
_symmetry_Int_Tables_number 51
_symmetry_space_group_name_Hall '-P 2a 2a'
loop_
_atom_site_label
_atom_site_type_symbol
_atom_site_fract_x
_atom_site_fract_y
_atom_site_fract_z
Mg1 Mg 0.250 0.000 0.179
Al1 Al 0.250 0.500 0.663
# E_form   29 meV per atom